Entry 1:
# r2SCAN YbCo2, relaxed
# Crystal system: cubic
# E_form in meV/atom: -222
# Magnetization in μB per cell: 4.2
data_YbCo2
_space_group_name_H-M_alt 'P 1'
_space_group_IT_number 1
_cell_length_a 4.995
_cell_length_b 4.995
_cell_length_c 4.995
_cell_angle_alpha 60.00
_cell_angle_beta 60.00
_cell_angle_gamma 60.00
loop_
_space_group_symop_operation_xyz
'x,y,z'
loop_
_atom_site_label
_atom_site_type_symbol
_atom_site_fract_x
_atom_site_fract_y
_atom_site_fract_z
Yb1 Yb 0.125 0.125 0.125
Yb2 Yb 0.875 0.875 0.875
Co1 Co 0.000 0.500 0.500
Co2 Co 0.500 0.000 0.500
Co3 Co 0.500 0.500 0.000
Co4 Co 0.500 0.500 0.500

---

Entry 2:
# r2SCAN Zn3Co, relaxed
# Crystal system: tetragonal
# E_form in meV/atom: -32
# Magnetization in μB per cell: 1.0
data_Zn3Co
_space_group_name_H-M_alt 'P 1'
_space_group_IT_number 1
_cell_length_a 4.711
_cell_length_b 4.711
_cell_length_c 4.711
_cell_angle_alpha 135.24
_cell_angle_beta 135.24
_cell_angle_gamma 65.16
loop_
_space_group_symop_operation_xyz
'x,y,z'
loop_
_atom_site_label
_atom_site_type_symbol
_atom_site_fract_x
_atom_site_fract_y
_atom_site_fract_z
Zn1 Zn 0.000 0.000 0.000
Zn2 Zn 0.250 0.750 0.500
Zn3 Zn 0.750 0.250 0.500
Co1 Co 0.500 0.500 0.000

---

Entry 3:
# r2SCAN Zn3Co, relaxed
# Crystal system: cubic
# E_form in meV/atom: 6
# Magnetization in μB per cell: 0.9
data_Zn3Co
_space_group_name_H-M_alt 'P 1'
_space_group_IT_number 1
_cell_length_a 3.686
_cell_length_b 3.686
_cell_length_c 3.686
_cell_angle_alpha 90.00
_cell_angle_beta 90.00
_cell_angle_gamma 90.00
loop_
_space_group_symop_operation_xyz
'x,y,z'
loop_
_atom_site_label
_atom_site_type_symbol
_atom_site_fract_x
_atom_site_fract_y
_atom_site_fract_z
Zn1 Zn 0.000 0.000 0.500
Zn2 Zn 0.000 0.500 0.000
Zn3 Zn 0.500 0.000 0.000
Co1 Co 0.500 0.500 0.500

---

Entry 4:
# r2SCAN Zn3Co, relaxed
# Crystal system: hexagonal
# E_form in meV/atom: 18
# Magnetization in μB per cell: 0.0
data_Zn3Co
_space_group_name_H-M_alt 'P 1'
_space_group_IT_number 1
_cell_length_a 5.232
_cell_length_b 5.232
_cell_length_c 4.200
_cell_angle_alpha 90.00
_cell_angle_beta 90.00
_cell_angle_gamma 120.00
loop_
_space_group_symop_operation_xyz
'x,y,z'
loop_
_atom_site_label
_atom_site_type_symbol
_atom_site_fract_x
_atom_site_fract_y
_atom_site_fract_z
Zn1 Zn 0.171 0.342 0.250
Zn2 Zn 0.171 0.829 0.250
Zn3 Zn 0.342 0.171 0.750
Zn4 Zn 0.658 0.829 0.250
Zn5 Zn 0.829 0.171 0.750
Zn6 Zn 0.829 0.658 0.750
Co1 Co 0.333 0.667 0.750
Co2 Co 0.667 0.333 0.250

---

Entry 5:
# r2SCAN Zn53Co7, relaxed
# Crystal system: monoclinic
# E_form in meV/atom: -54
# Magnetization in μB per cell: 0.0
data_Zn53Co7
_space_group_name_H-M_alt 'P 1'
_space_group_IT_number 1
_cell_length_a 11.015
_cell_length_b 7.652
_cell_length_c 11.047
_cell_angle_alpha 90.00
_cell_angle_beta 119.73
_cell_angle_gamma 90.00
loop_
_space_group_symop_operation_xyz
'x,y,z'
loop_
_atom_site_label
_atom_site_type_symbol
_atom_site_fract_x
_atom_site_fract_y
_atom_site_fract_z
Zn1 Zn 0.000 0.037 0.000
Zn2 Zn 0.000 0.371 0.500
Zn3 Zn 0.011 0.070 0.625
Zn4 Zn 0.017 0.665 0.626
Zn5 Zn 0.068 0.537 0.886
Zn6 Zn 0.078 0.865 0.845
Zn7 Zn 0.118 0.376 0.339
Zn8 Zn 0.127 0.331 0.107
Zn9 Zn 0.130 0.738 0.110
Zn10 Zn 0.160 0.042 0.273
Zn11 Zn 0.185 0.377 0.756
Zn12 Zn 0.185 0.870 0.575
Zn13 Zn 0.221 0.713 0.384
Zn14 Zn 0.234 0.202 0.579
Zn15 Zn 0.260 0.044 0.068
Zn16 Zn 0.266 0.053 0.831
Zn17 Zn 0.283 0.688 0.813
Zn18 Zn 0.309 0.373 0.024
Zn19 Zn 0.342 0.533 0.270
Zn20 Zn 0.343 0.714 0.070
Zn21 Zn 0.387 0.205 0.314
Zn22 Zn 0.389 0.000 0.513
Zn23 Zn 0.390 0.402 0.519
Zn24 Zn 0.429 0.713 0.687
Zn25 Zn 0.433 0.400 0.776
Zn26 Zn 0.468 0.035 0.774
Zn27 Zn 0.500 0.214 0.000
Zn28 Zn 0.500 0.706 0.500
Zn29 Zn 0.500 0.873 0.000
Zn30 Zn 0.532 0.035 0.226
Zn31 Zn 0.567 0.400 0.224
Zn32 Zn 0.571 0.713 0.313
Zn33 Zn 0.610 0.402 0.481
Zn34 Zn 0.611 0.000 0.487
Zn35 Zn 0.613 0.205 0.686
Zn36 Zn 0.657 0.714 0.930
Zn37 Zn 0.658 0.533 0.730
Zn38 Zn 0.691 0.373 0.976
Zn39 Zn 0.717 0.688 0.187
Zn40 Zn 0.734 0.053 0.169
Zn41 Zn 0.740 0.044 0.932
Zn42 Zn 0.766 0.202 0.421
Zn43 Zn 0.779 0.713 0.616
Zn44 Zn 0.815 0.377 0.244
Zn45 Zn 0.815 0.870 0.425
Zn46 Zn 0.840 0.042 0.727
Zn47 Zn 0.870 0.738 0.890
Zn48 Zn 0.873 0.331 0.893
Zn49 Zn 0.882 0.376 0.661
Zn50 Zn 0.922 0.865 0.155
Zn51 Zn 0.932 0.537 0.114
Zn52 Zn 0.983 0.665 0.374
Zn53 Zn 0.989 0.070 0.375
Co1 Co 0.075 0.206 0.860
Co2 Co 0.215 0.540 0.575
Co3 Co 0.362 0.873 0.284
Co4 Co 0.500 0.543 0.000
Co5 Co 0.638 0.873 0.716
Co6 Co 0.785 0.540 0.425
Co7 Co 0.925 0.206 0.140

---

Entry 6:
# r2SCAN Zn13Co, relaxed
# Crystal system: monoclinic
# E_form in meV/atom: -41
# Magnetization in μB per cell: 0.0
data_Zn13Co
_space_group_name_H-M_alt 'P 1'
_space_group_IT_number 1
_cell_length_a 6.475
_cell_length_b 6.475
_cell_length_c 5.027
_cell_angle_alpha 99.30
_cell_angle_beta 99.30
_cell_angle_gamma 70.19
loop_
_space_group_symop_operation_xyz
'x,y,z'
loop_
_atom_site_label
_atom_site_type_symbol
_atom_site_fract_x
_atom_site_fract_y
_atom_site_fract_z
Zn1 Zn 0.000 0.000 0.000
Zn2 Zn 0.004 0.644 0.201
Zn3 Zn 0.218 0.629 0.682
Zn4 Zn 0.222 0.222 0.370
Zn5 Zn 0.356 0.996 0.799
Zn6 Zn 0.371 0.782 0.318
Zn7 Zn 0.387 0.387 0.066
Zn8 Zn 0.613 0.613 0.934
Zn9 Zn 0.629 0.218 0.682
Zn10 Zn 0.644 0.004 0.201
Zn11 Zn 0.778 0.778 0.630
Zn12 Zn 0.782 0.371 0.318
Zn13 Zn 0.996 0.356 0.799
Co1 Co 0.000 0.000 0.500

---

Entry 7:
# r2SCAN Zr6Co23, relaxed
# Crystal system: cubic
# E_form in meV/atom: -202
# Magnetization in μB per cell: 32.6
data_Zr6Co23
_space_group_name_H-M_alt 'P 1'
_space_group_IT_number 1
_cell_length_a 8.116
_cell_length_b 8.116
_cell_length_c 8.116
_cell_angle_alpha 60.00
_cell_angle_beta 60.00
_cell_angle_gamma 60.00
loop_
_space_group_symop_operation_xyz
'x,y,z'
loop_
_atom_site_label
_atom_site_type_symbol
_atom_site_fract_x
_atom_site_fract_y
_atom_site_fract_z
Zr1 Zr 0.212 0.212 0.788
Zr2 Zr 0.212 0.788 0.212
Zr3 Zr 0.212 0.788 0.788
Zr4 Zr 0.788 0.212 0.212
Zr5 Zr 0.788 0.212 0.788
Zr6 Zr 0.788 0.788 0.212
Co1 Co 0.000 0.000 0.500
Co2 Co 0.000 0.500 0.000
Co3 Co 0.000 0.500 0.500
Co4 Co 0.134 0.622 0.622
Co5 Co 0.174 0.174 0.174
Co6 Co 0.174 0.174 0.478
Co7 Co 0.174 0.478 0.174
Co8 Co 0.378 0.378 0.378
Co9 Co 0.378 0.378 0.866
Co10 Co 0.378 0.866 0.378
Co11 Co 0.478 0.174 0.174
Co12 Co 0.500 0.000 0.000
Co13 Co 0.500 0.000 0.500
Co14 Co 0.500 0.500 0.000
Co15 Co 0.500 0.500 0.500
Co16 Co 0.522 0.826 0.826
Co17 Co 0.622 0.134 0.622
Co18 Co 0.622 0.622 0.134
Co19 Co 0.622 0.622 0.622
Co20 Co 0.826 0.522 0.826
Co21 Co 0.826 0.826 0.522
Co22 Co 0.826 0.826 0.826
Co23 Co 0.866 0.378 0.378

---

Entry 8:
# r2SCAN ZrCo2, relaxed
# Crystal system: cubic
# E_form in meV/atom: -221
# Magnetization in μB per cell: 4.0
data_ZrCo2
_space_group_name_H-M_alt 'P 1'
_space_group_IT_number 1
_cell_length_a 4.908
_cell_length_b 4.908
_cell_length_c 4.908
_cell_angle_alpha 60.00
_cell_angle_beta 60.00
_cell_angle_gamma 60.00
loop_
_space_group_symop_operation_xyz
'x,y,z'
loop_
_atom_site_label
_atom_site_type_symbol
_atom_site_fract_x
_atom_site_fract_y
_atom_site_fract_z
Zr1 Zr 0.125 0.125 0.125
Zr2 Zr 0.875 0.875 0.875
Co1 Co 0.000 0.500 0.500
Co2 Co 0.500 0.000 0.500
Co3 Co 0.500 0.500 0.000
Co4 Co 0.500 0.500 0.500

---

Entry 9:
# r2SCAN Cr, relaxed
# Crystal system: cubic
# E_form in meV/atom: 358
# Magnetization in μB per cell: 0.0
# Energy above the most stable polymorph in this dataset in eV/atom: 0.358
data_Cr
_space_group_name_H-M_alt 'P 1'
_space_group_IT_number 1
_cell_length_a 4.512
_cell_length_b 4.512
_cell_length_c 4.512
_cell_angle_alpha 90.00
_cell_angle_beta 90.00
_cell_angle_gamma 90.00
loop_
_space_group_symop_operation_xyz
'x,y,z'
loop_
_atom_site_label
_atom_site_type_symbol
_atom_site_fract_x
_atom_site_fract_y
_atom_site_fract_z
Cr1 Cr 0.000 0.000 0.000
Cr2 Cr 0.000 0.250 0.500
Cr3 Cr 0.000 0.750 0.500
Cr4 Cr 0.250 0.500 0.000
Cr5 Cr 0.500 0.000 0.250
Cr6 Cr 0.500 0.000 0.750
Cr7 Cr 0.500 0.500 0.500
Cr8 Cr 0.750 0.500 0.000

---

Entry 10:
# r2SCAN Cr, relaxed
# E_form in meV/atom: 0
# Magnetization in μB per cell: 0.0
# Energy above the most stable polymorph in this dataset in eV/atom: 0.000
data_Cr
_space_group_name_H-M_alt 'P 1'
_space_group_IT_number 1
_cell_length_a 2.969
_cell_length_b 2.969
_cell_length_c 2.969
_cell_angle_alpha 90.00
_cell_angle_beta 90.00
_cell_angle_gamma 90.00
loop_
_space_group_symop_operation_xyz
'x,y,z'
loop_
_atom_site_label
_atom_site_type_symbol
_atom_site_fract_x
_atom_site_fract_y
_atom_site_fract_z
Cr1 Cr 0.000 0.000 0.000
Cr2 Cr 0.500 0.500 0.500

---

Entry 11:
# r2SCAN Cs2CrO4, relaxed
# Crystal system: orthorhombic
# E_form in meV/atom: -2150
# Magnetization in μB per cell: 0.0
data_Cs2CrO4
_space_group_name_H-M_alt 'P 1'
_space_group_IT_number 1
_cell_length_a 8.456
_cell_length_b 6.286
_cell_length_c 11.197
_cell_angle_alpha 90.00
_cell_angle_beta 90.00
_cell_angle_gamma 90.00
loop_
_space_group_symop_operation_xyz
'x,y,z'
loop_
_atom_site_label
_atom_site_type_symbol
_atom_site_fract_x
_atom_site_fract_y
_atom_site_fract_z
Cs1 Cs 0.016 0.250 0.194
Cs2 Cs 0.168 0.750 0.409
Cs3 Cs 0.332 0.250 0.909
Cs4 Cs 0.484 0.750 0.694
Cs5 Cs 0.516 0.250 0.306
Cs6 Cs 0.668 0.750 0.091
Cs7 Cs 0.832 0.250 0.591
Cs8 Cs 0.984 0.750 0.806
Cr1 Cr 0.236 0.750 0.080
Cr2 Cr 0.264 0.250 0.580
Cr3 Cr 0.736 0.750 0.420
Cr4 Cr 0.764 0.250 0.920
O1 O 0.042 0.750 0.089
O2 O 0.193 0.035 0.646
O3 O 0.193 0.465 0.646
O4 O 0.208 0.250 0.439
O5 O 0.292 0.750 0.939
O6 O 0.307 0.535 0.146
O7 O 0.307 0.965 0.146
O8 O 0.458 0.250 0.589
O9 O 0.542 0.750 0.411
O10 O 0.693 0.035 0.854
O11 O 0.693 0.465 0.854
O12 O 0.708 0.250 0.061
O13 O 0.792 0.750 0.561
O14 O 0.807 0.535 0.354
O15 O 0.807 0.965 0.354
O16 O 0.958 0.250 0.911

---

Entry 12:
# r2SCAN CsCr5S8, relaxed
# Crystal system: monoclinic
# E_form in meV/atom: -1124
# Magnetization in μB per cell: 15.0
data_CsCr5S8
_space_group_name_H-M_alt 'P 1'
_space_group_IT_number 1
_cell_length_a 9.204
_cell_length_b 9.204
_cell_length_c 8.839
_cell_angle_alpha 104.59
_cell_angle_beta 104.59
_cell_angle_gamma 22.03
loop_
_space_group_symop_operation_xyz
'x,y,z'
loop_
_atom_site_label
_atom_site_type_symbol
_atom_site_fract_x
_atom_site_fract_y
_atom_site_fract_z
Cs1 Cs 0.000 0.000 0.000
Cr1 Cr 0.160 0.160 0.479
Cr2 Cr 0.205 0.205 0.835
Cr3 Cr 0.500 0.500 0.500
Cr4 Cr 0.795 0.795 0.165
Cr5 Cr 0.840 0.840 0.521
S1 S 0.077 0.077 0.649
S2 S 0.261 0.261 0.342
S3 S 0.327 0.327 0.015
S4 S 0.412 0.412 0.663
S5 S 0.588 0.588 0.337
S6 S 0.673 0.673 0.985
S7 S 0.739 0.739 0.658
S8 S 0.923 0.923 0.351